1.
Ba3SiI2 GGA-PBE optimized geometry; energy with MP2020 corrections = -0.133 Ha/atom; formation energy from the elements = -121 kJ/mol of atoms; VASP energy = -3.50 eV per atom; mass density = 4.2 g/cm3; crystal system = orthorhombic
1.0
0.000 7.127 14.926
5.112 0.000 14.926
5.112 7.127 0.000
Ba Si I
12 4 8
Direct
0.030 0.537 0.180 Ba
0.082 0.668 0.668 Ba
0.180 0.753 0.030 Ba
0.247 0.820 0.463 Ba
0.332 0.918 0.918 Ba
0.463 0.970 0.247 Ba
0.537 0.030 0.753 Ba
0.668 0.082 0.082 Ba
0.753 0.180 0.537 Ba
0.820 0.247 0.970 Ba
0.918 0.332 0.332 Ba
0.970 0.463 0.820 Ba
0.041 0.041 0.209 Si
0.209 0.209 0.041 Si
0.791 0.791 0.959 Si
0.959 0.959 0.791 Si
0.129 0.129 0.621 I
0.298 0.298 0.452 I
0.379 0.379 0.871 I
0.452 0.452 0.298 I
0.548 0.548 0.702 I
0.621 0.621 0.129 I
0.702 0.702 0.548 I
0.871 0.871 0.379 I


2.
BaSr2I6 GGA-PBE optimized geometry; energy with MP2020 corrections = -0.130 Ha/atom; formation energy from the elements = -187 kJ/mol of atoms; VASP energy = -3.29 eV per atom; mass density = 4.0 g/cm3; crystal system = monoclinic
1.0
7.714 0.000 0.000
0.000 8.393 0.000
-6.629 0.000 13.778
Ba Sr I
2 4 12
Direct
0.000 0.000 0.000 Ba
0.000 0.500 0.500 Ba
0.330 0.101 0.756 Sr
0.330 0.399 0.256 Sr
0.670 0.601 0.744 Sr
0.670 0.899 0.244 Sr
0.058 0.074 0.236 I
0.058 0.426 0.736 I
0.302 0.675 0.095 I
0.302 0.825 0.595 I
0.432 0.193 0.094 I
0.432 0.307 0.594 I
0.568 0.693 0.406 I
0.568 0.807 0.906 I
0.698 0.175 0.405 I
0.698 0.325 0.905 I
0.942 0.574 0.264 I
0.942 0.926 0.764 I